1.
The following is a DFT calculation (PBE) of crystalline DyNiGe2 at its relaxed geometry.

Results
Energy relative to the elements (kJ/mol of atoms): -68.1

Unit cell a=4.184 b=8.545 c=15.903 alpha=90.00 beta=90.00 gamma=90.00
Space group Immm (No. 71)
Unique sites:
1 Dy 0.000 0.000 0.205 x4
2 Dy 0.000 0.234 0.000 x4
3 Ni 0.000 0.250 0.351 x8
4 Ge 0.000 0.000 0.420 x4
5 Ge 0.000 0.343 0.195 x8
6 Ge 0.000 0.500 0.423 x4



2.
The following is a DFT calculation (PBE) of crystalline Dy2Ge2O5 at its relaxed geometry.

Results
Energy relative to the elements (kJ/mol of atoms): -220.5

Unit cell a=3.685 b=3.685 c=9.429 alpha=90.00 beta=90.00 gamma=90.00
Space group P4/mmm (No. 123)
Unique sites:
1 Dy 0.000 0.000 0.247 x2
2 Ge 0.500 0.500 0.000 x1
3 Ge 0.500 0.500 0.500 x1
4 O 0.000 0.000 0.000 x1
5 O 0.000 0.500 0.372 x4



3.
The following is a DFT calculation (PBE) of crystalline Dy2GeO5 at its relaxed geometry.

Results
Energy relative to the elements (kJ/mol of atoms): -325.3

Unit cell a=14.984 b=6.903 c=10.556 alpha=90.00 beta=121.83 gamma=90.00
Space group C2/c (No. 15)
Unique sites:
1 Dy 0.035 0.242 0.466 x8
2 Dy 0.138 0.126 0.838 x8
3 Ge 0.185 0.406 0.308 x8
4 O 0.016 0.097 0.897 x8
5 O 0.084 0.493 0.133 x8
6 O 0.117 0.203 0.325 x8
7 O 0.196 0.154 0.676 x8
8 O 0.205 0.424 0.945 x8